1.
Na2Hf6Zn2Si3S9O48 (PBE, relaxed); formation enthalpy at 0 K = -17650 kJ/mol of formula units; theoretical density = 3.76 g/cm3; spin magnetization = 0.0 μB/f.u.; crystal system = triclinic; symmetry = No. 1
1.0
8.8762 0.0000 0.0000
0.0047 15.4119 0.0000
0.0421 0.0621 23.1545
Na Hf Zn Si S O
6 18 6 9 27 144
Direct
0.0000 0.0000 0.0000 Na
0.0033 0.3262 0.6537 Na
0.0078 0.3213 0.1580 Na
0.5092 0.8322 0.6527 Na
0.5174 0.8288 0.1564 Na
0.5210 0.4984 0.4948 Na
0.0034 0.3268 0.5156 Hf
0.0045 0.6600 0.4711 Hf
0.0063 0.0057 0.3480 Hf
0.0076 0.6633 0.9713 Hf
0.0076 0.6658 0.1833 Hf
0.0103 0.0058 0.6367 Hf
0.0097 0.6591 0.6789 Hf
0.0127 0.3238 0.8060 Hf
0.0163 0.3256 0.3063 Hf
0.5031 0.8312 0.8098 Hf
0.5056 0.8250 0.3054 Hf
0.5090 0.5004 0.8503 Hf
0.5105 0.5051 0.1376 Hf
0.5118 0.1650 0.6822 Hf
0.5162 0.1605 0.9739 Hf
0.5166 0.1627 0.4687 Hf
0.5169 0.8255 0.0174 Hf
0.5177 0.1570 0.1823 Hf
0.0096 0.3282 0.0122 Zn
0.0162 0.0018 0.8402 Zn
0.5016 0.4999 0.3384 Zn
0.5087 0.8305 0.5076 Zn
0.5246 0.4975 0.6366 Zn
0.9818 0.0093 0.1391 Zn
0.1554 0.1400 0.7450 Si
0.1570 0.1862 0.4114 Si
0.3624 0.6873 0.9111 Si
0.3655 0.6402 0.2452 Si
0.6623 0.0163 0.0762 Si
0.7244 0.6626 0.0770 Si
0.7964 0.1643 0.5768 Si
0.8584 0.5173 0.5762 Si
0.8701 0.1436 0.2406 Si
0.1494 0.5164 0.0766 S
0.1515 0.8097 0.0763 S
0.1554 0.8517 0.7426 S
0.1604 0.4751 0.4109 S
0.2204 0.1667 0.0750 S
0.2214 0.8306 0.4114 S
0.2254 0.4965 0.7420 S
0.2958 0.9946 0.2420 S
0.2978 0.3305 0.9107 S
0.3005 0.6661 0.5758 S
0.3604 0.9759 0.9114 S
0.3666 0.3529 0.2422 S
0.3683 0.3093 0.5760 S
0.3717 0.0163 0.5764 S
0.6521 0.6849 0.4122 S
0.6530 0.6435 0.7424 S
0.6552 0.3548 0.7432 S
0.6547 0.9710 0.4108 S
0.6569 0.3077 0.0767 S
0.7181 0.3363 0.4093 S
0.7210 0.9945 0.7432 S
0.7992 0.4959 0.2436 S
0.8030 0.8353 0.9093 S
0.8635 0.8073 0.5769 S
0.8651 0.8536 0.2438 S
0.8671 0.1849 0.9124 S
0.8677 0.4723 0.9101 S
0.0771 0.0966 0.6873 O
0.0787 0.2342 0.4660 O
0.0794 0.4301 0.0703 O
0.0795 0.2398 0.7505 O
0.0849 0.5603 0.1277 O
0.0864 0.0902 0.4006 O
0.0860 0.8954 0.0812 O
0.0896 0.7645 0.0240 O
0.0911 0.4384 0.3583 O
0.0908 0.8856 0.7956 O
0.0916 0.5643 0.4191 O
0.0960 0.7628 0.7315 O
0.1201 0.4221 0.7529 O
0.1208 0.4220 0.4623 O
0.1233 0.2450 0.0692 O
0.1227 0.9046 0.3986 O
0.1261 0.2467 0.3544 O
0.1261 0.5708 0.0237 O
0.1257 0.7552 0.1283 O
0.1286 0.7513 0.4194 O
0.1289 0.9063 0.6910 O
0.1312 0.5766 0.7360 O
0.1323 0.0866 0.8030 O
0.1354 0.0853 0.0758 O
0.1844 0.6742 0.9197 O
0.1891 0.6558 0.2296 O
0.1964 0.3490 0.2475 O
0.1969 0.9824 0.9058 O
0.2000 0.3177 0.8584 O
0.2012 0.0040 0.2947 O
0.2012 0.3165 0.5705 O
0.2010 0.6590 0.5241 O
0.2019 0.6781 0.6287 O
0.2059 0.0058 0.5850 O
0.2063 0.3491 0.9615 O
0.2114 0.9751 0.1904 O
0.3127 0.8477 0.4628 O
0.3144 0.1790 0.1272 O
0.3151 0.4806 0.6904 O
0.3149 0.5064 0.0844 O
0.3193 0.8156 0.0696 O
0.3211 0.5076 0.7942 O
0.3214 0.8156 0.3599 O
0.3228 0.1624 0.0224 O
0.3247 0.4828 0.4074 O
0.3268 0.8437 0.7479 O
0.3320 0.1562 0.7301 O
0.3363 0.1757 0.4219 O
0.3872 0.5857 0.5814 O
0.3878 0.0754 0.2368 O
0.3877 0.5875 0.3034 O
0.3938 0.2533 0.9172 O
0.3954 0.0699 0.5241 O
0.3951 0.2557 0.6289 O
0.3956 0.7448 0.5717 O
0.3971 0.4065 0.8975 O
0.3966 0.4084 0.1909 O
0.3971 0.7467 0.8530 O
0.3993 0.9217 0.9616 O
0.4055 0.9211 0.2538 O
0.4220 0.2643 0.2307 O
0.4309 0.0635 0.9174 O
0.4306 0.9364 0.8575 O
0.4317 0.2654 0.5245 O
0.4333 0.3862 0.2952 O
0.4343 0.3959 0.5815 O
0.4353 0.0603 0.6282 O
0.4385 0.5925 0.8968 O
0.4412 0.7395 0.2505 O
0.4415 0.9296 0.5713 O
0.4426 0.7342 0.9645 O
0.4442 0.5969 0.1873 O
0.5726 0.9246 0.0686 O
0.5811 0.6073 0.6913 O
0.5838 0.3928 0.0848 O
0.5853 0.9301 0.3594 O
0.5869 0.0593 0.4165 O
0.5871 0.0652 0.1320 O
0.5866 0.7258 0.4639 O
0.5887 0.2671 0.7378 O
0.5896 0.3961 0.7953 O
0.5906 0.7331 0.7523 O
0.5916 0.2674 0.0233 O
0.5939 0.5969 0.4059 O
0.6148 0.7479 0.0727 O
0.6193 0.9162 0.7480 O
0.6202 0.0791 0.0197 O
0.6198 0.4120 0.4030 O
0.6218 0.0707 0.7328 O
0.6219 0.7398 0.3599 O
0.6237 0.5753 0.0841 O
0.6248 0.2520 0.1276 O
0.6263 0.2557 0.4172 O
0.6264 0.5889 0.7944 O
0.6299 0.9204 0.4635 O
0.6351 0.4069 0.6913 O
0.6774 0.5107 0.5784 O
0.6867 0.1552 0.2338 O
0.6915 0.1540 0.5204 O
0.6918 0.1774 0.6336 O
0.6974 0.8428 0.2541 O
0.6982 0.1833 0.9172 O
0.6986 0.8155 0.5722 O
0.7028 0.4799 0.1919 O
0.7026 0.4829 0.8980 O
0.7039 0.8221 0.8570 O
0.7064 0.8480 0.9608 O
0.7128 0.5093 0.2962 O
0.8058 0.0075 0.7960 O
0.8133 0.3484 0.4619 O
0.8152 0.3232 0.3578 O
0.8177 0.9785 0.6916 O
0.8190 0.9792 0.4016 O
0.8195 0.6535 0.7356 O
0.8219 0.3170 0.0706 O
0.8224 0.3444 0.7531 O
0.8221 0.6832 0.4174 O
0.8274 0.6533 0.0192 O
0.8309 0.6766 0.1325 O
0.8416 0.0046 0.0752 O
0.8850 0.9036 0.1911 O
0.8874 0.4197 0.9618 O
0.8939 0.7549 0.9163 O
0.8961 0.5734 0.2330 O
0.8970 0.0763 0.5844 O
0.8974 0.0834 0.2985 O
0.8965 0.7509 0.6289 O
0.8980 0.2395 0.8589 O
0.9002 0.9111 0.9012 O
0.9021 0.4197 0.2487 O
0.9023 0.5802 0.5208 O
0.9057 0.2492 0.5727 O
0.9255 0.0967 0.9055 O
0.9296 0.7646 0.2381 O
0.9302 0.7672 0.5247 O
0.9320 0.8928 0.2959 O
0.9328 0.5667 0.6333 O
0.9339 0.2266 0.9629 O
0.9341 0.5601 0.9162 O
0.9360 0.2432 0.2512 O
0.9365 0.4315 0.8581 O
0.9370 0.8918 0.5867 O
0.9472 0.4257 0.5703 O
0.9572 0.1082 0.1855 O

***

2.
Na2HfZnSiS2O12 (PBE, relaxed); formation enthalpy at 0 K = -4531 kJ/mol of formula units; theoretical density = 3.59 g/cm3; spin magnetization = 0.0 μB/f.u.; crystal system = monoclinic; symmetry = No. 9
1.0
7.8005 -4.4825 0.0000
7.8005 4.4825 0.0000
-0.3729 0.0000 22.8029
Na Hf Zn Si S O
12 6 6 6 12 72
Direct
0.0004 0.9996 0.0000 Na
0.9996 0.0004 0.5000 Na
0.0048 0.3653 0.7527 Na
0.3105 0.6686 0.4207 Na
0.3240 0.9727 0.5833 Na
0.3247 0.3270 0.8345 Na
0.3270 0.3247 0.3345 Na
0.3653 0.0048 0.2527 Na
0.6470 0.6829 0.6682 Na
0.6686 0.3105 0.9207 Na
0.6829 0.6470 0.1682 Na
0.9727 0.3240 0.0833 Na
0.0123 0.0179 0.3449 Hf
0.0179 0.0123 0.8449 Hf
0.3413 0.3450 0.1784 Hf
0.3450 0.3413 0.6784 Hf
0.6651 0.6731 0.5122 Hf
0.6731 0.6651 0.0122 Hf
0.0437 0.9657 0.6438 Zn
0.3329 0.3352 0.9761 Zn
0.3352 0.3329 0.4761 Zn
0.6698 0.6807 0.8102 Zn
0.6807 0.6698 0.3102 Zn
0.9657 0.0437 0.1438 Zn
0.3159 0.9985 0.7399 Si
0.3349 0.6293 0.5702 Si
0.3845 0.9725 0.4057 Si
0.6293 0.3349 0.0702 Si
0.9725 0.3845 0.9057 Si
0.9985 0.3159 0.2399 Si
0.0050 0.7137 0.7408 S
0.0435 0.3417 0.5762 S
0.0460 0.6376 0.0756 S
0.2897 0.7179 0.2408 S
0.3417 0.0435 0.0762 S
0.3786 0.6737 0.9075 S
0.6376 0.0460 0.5756 S
0.6737 0.3786 0.4075 S
0.6750 0.9644 0.9083 S
0.7137 0.0050 0.2408 S
0.7179 0.2897 0.7408 S
0.9644 0.6750 0.4083 S
0.0131 0.1967 0.5820 O
0.0253 0.7983 0.7947 O
0.0256 0.8066 0.0862 O
0.0357 0.1772 0.2950 O
0.1274 0.3627 0.6314 O
0.1270 0.5187 0.1279 O
0.1420 0.5284 0.4123 O
0.1436 0.5580 0.0226 O
0.1547 0.3084 0.5256 O
0.1632 0.3538 0.9161 O
0.1700 0.5387 0.7370 O
0.1728 0.8262 0.5745 O
0.1772 0.0357 0.7950 O
0.1874 0.3127 0.2372 O
0.1880 0.7944 0.2968 O
0.1956 0.9722 0.4028 O
0.1967 0.0131 0.0820 O
0.1986 0.8235 0.1902 O
0.2018 0.8313 0.9035 O
0.2297 0.9841 0.6788 O
0.3084 0.1547 0.0256 O
0.3095 0.5415 0.2372 O
0.3127 0.1874 0.7372 O
0.3230 0.5393 0.5101 O
0.3538 0.1632 0.4161 O
0.3583 0.5103 0.6281 O
0.3621 0.5209 0.9134 O
0.3627 0.1274 0.1314 O
0.4576 0.7051 0.9620 O
0.4611 0.7003 0.2463 O
0.4779 0.8424 0.4632 O
0.4826 0.6527 0.8561 O
0.4864 0.8807 0.3458 O
0.5025 0.8316 0.7506 O
0.5069 0.8755 0.0706 O
0.5103 0.3583 0.1281 O
0.5113 0.6531 0.5694 O
0.5187 0.1270 0.6279 O
0.5209 0.3621 0.4134 O
0.5284 0.1420 0.9123 O
0.5387 0.1700 0.2370 O
0.5393 0.3230 0.0101 O
0.5415 0.3095 0.7372 O
0.5580 0.1436 0.5226 O
0.6501 0.8703 0.5711 O
0.6527 0.4826 0.3561 O
0.6531 0.5113 0.0694 O
0.6535 0.8850 0.8553 O
0.6786 0.8626 0.2449 O
0.6914 0.8625 0.9619 O
0.7003 0.4611 0.7463 O
0.7051 0.4576 0.4620 O
0.7944 0.1880 0.7968 O
0.7983 0.0253 0.2947 O
0.8066 0.0256 0.5862 O
0.8154 0.9796 0.1884 O
0.8235 0.1986 0.6902 O
0.8262 0.1728 0.0745 O
0.8313 0.2018 0.4035 O
0.8316 0.5025 0.2506 O
0.8376 0.9763 0.9052 O
0.8424 0.4779 0.9632 O
0.8626 0.6786 0.7449 O
0.8625 0.6914 0.4619 O
0.8703 0.6501 0.0711 O
0.8755 0.5069 0.5706 O
0.8807 0.4864 0.8458 O
0.8850 0.6535 0.3553 O
0.9722 0.1956 0.9028 O
0.9763 0.8376 0.4052 O
0.9796 0.8154 0.6884 O
0.9841 0.2297 0.1788 O

***

3.
Na6Hf3ZnSi4S2O24 (PBE, relaxed); formation enthalpy at 0 K = -10946 kJ/mol of formula units; theoretical density = 3.95 g/cm3; spin magnetization = 0.0 μB/f.u.; crystal system = triclinic; symmetry = No. 1
1.0
9.1369 0.0000 0.0000
-4.5669 7.9355 0.0000
-0.1157 -0.0733 22.6158
Na Hf Zn Si S O
18 9 3 12 6 72
Direct
0.0000 0.0000 0.0000 Na
0.0018 0.6126 0.5160 Na
0.2564 0.6039 0.9999 Na
0.2919 0.3135 0.1621 Na
0.3016 0.9539 0.9077 Na
0.3073 0.6090 0.6748 Na
0.3143 0.9491 0.4204 Na
0.3399 0.6811 0.3387 Na
0.6027 0.2729 0.3438 Na
0.6378 0.6208 0.7559 Na
0.6440 0.2498 0.9961 Na
0.6486 0.3052 0.6760 Na
0.6550 0.9366 0.1823 Na
0.6728 0.6660 0.2601 Na
0.9476 0.9403 0.6796 Na
0.9617 0.6147 0.1759 Na
0.9740 0.2851 0.5890 Na
0.9763 0.2860 0.0773 Na
0.2882 0.9417 0.0680 Hf
0.3167 0.9577 0.5721 Hf
0.6212 0.6081 0.6086 Hf
0.6296 0.6216 0.4035 Hf
0.6315 0.6184 0.9060 Hf
0.6385 0.6281 0.1062 Hf
0.9546 0.2867 0.4439 Hf
0.9633 0.2820 0.2382 Hf
0.9697 0.2876 0.7383 Hf
0.2742 0.9068 0.2756 Zn
0.3046 0.9513 0.7534 Zn
0.9692 0.2856 0.9453 Zn
0.0072 0.6617 0.6733 Si
0.0101 0.9529 0.1750 Si
0.3010 0.2401 0.6758 Si
0.3056 0.6537 0.1758 Si
0.3329 0.6189 0.5055 Si
0.3440 0.3234 0.0072 Si
0.5960 0.9477 0.6774 Si
0.6240 0.3193 0.5045 Si
0.6324 0.9147 0.0058 Si
0.6673 0.9883 0.3377 Si
0.9249 0.6158 0.0069 Si
0.9612 0.5813 0.3403 Si
0.2590 0.2880 0.3413 S
0.2649 0.5808 0.8436 S
0.5962 0.2474 0.1748 S
0.6726 0.2884 0.8430 S
0.9263 0.9112 0.5073 S
0.9645 0.9878 0.8431 S
0.0777 0.7892 0.7287 O
0.0903 0.9157 0.5091 O
0.1005 0.9194 0.2295 O
0.1105 0.7899 0.0105 O
0.1129 0.9679 0.8399 O
0.1223 0.9851 0.1139 O
0.1276 0.7382 0.6142 O
0.1299 0.4667 0.1794 O
0.1319 0.2621 0.6849 O
0.1326 0.7595 0.3427 O
0.1459 0.4454 0.5030 O
0.1566 0.2741 0.3932 O
0.1576 0.3022 0.0018 O
0.1707 0.4769 0.7895 O
0.1735 0.4925 0.8977 O
0.1739 0.3046 0.2862 O
0.2556 0.1106 0.6195 O
0.2755 0.7496 0.1187 O
0.2840 0.7484 0.8406 O
0.2919 0.1488 0.3374 O
0.3021 0.7815 0.5089 O
0.3351 0.1404 0.0124 O
0.3568 0.7695 0.2345 O
0.3647 0.1786 0.7318 O
0.4250 0.4527 0.3429 O
0.4324 0.4358 0.0672 O
0.4325 0.6108 0.5647 O
0.4340 0.5884 0.8414 O
0.4470 0.6365 0.4469 O
0.4553 0.1355 0.5096 O
0.4562 0.4353 0.6644 O
0.4622 0.9294 0.0132 O
0.4646 0.6178 0.1675 O
0.4666 0.8833 0.7318 O
0.4706 0.4201 0.9515 O
0.4874 0.9846 0.3379 O
0.5012 0.1749 0.2289 O
0.5050 0.1395 0.8399 O
0.5111 0.1419 0.1216 O
0.5133 0.9960 0.6206 O
0.5943 0.7822 0.9511 O
0.6151 0.4198 0.4454 O
0.6234 0.4213 0.1682 O
0.6386 0.7959 0.3431 O
0.6392 0.7970 0.6643 O
0.6577 0.4423 0.5617 O
0.6604 0.8274 0.0657 O
0.6632 0.4488 0.8414 O
0.7614 0.2845 0.8975 O
0.7689 0.2616 0.1759 O
0.7767 0.0752 0.2766 O
0.7772 0.2989 0.7894 O
0.7825 0.1073 0.3927 O
0.7818 0.1213 0.6864 O
0.7821 0.5844 0.3428 O
0.7971 0.3027 0.5023 O
0.7986 0.0986 0.0007 O
0.8030 0.8188 0.8413 O
0.8133 0.6247 0.6632 O
0.8171 0.5928 0.0675 O
0.8178 0.7840 0.1700 O
0.8294 0.6518 0.9519 O
0.8290 0.8359 0.5619 O
0.8322 0.8027 0.4553 O
0.9430 0.4638 0.2811 O
0.9504 0.4542 0.0013 O
0.9505 0.0822 0.5009 O
0.9542 0.0821 0.7893 O
0.9691 0.0802 0.8975 O
0.9732 0.4740 0.3972 O
0.9859 0.1212 0.1788 O
0.9893 0.4722 0.6839 O